The following is a GGA-PBE calculation of Na2LiCuP2O7 after structural relaxation, from the Materials Project.

Cell: 5.8328 7.7791 8.7587 Å, 68.80 90.01 112.01°
Fractional positions:
1 P 0.4644 0.2258 0.1552
2 P 0.2386 0.7741 0.3449
3 P 0.7585 0.2142 0.6346
4 P 0.5442 0.7858 0.8653
5 O 0.7362 0.3707 0.0797
6 O 0.3647 0.2797 0.2857
7 O 0.9534 0.2782 0.7420
8 O 0.0813 0.7804 0.4836
9 O 0.0850 0.7202 0.2143
10 O 0.2653 0.6529 0.9238
11 O 0.5400 0.0000 0.7500
12 O 0.4612 0.0000 0.2500
13 O 0.6975 0.8145 0.0068
14 O 0.6123 0.3471 0.5761
15 O 0.3010 0.2197 0.0164
16 O 0.3655 0.6292 0.4205
17 O 0.6753 0.7219 0.7580
18 O 0.8829 0.1854 0.4932
19 Cu 0.9409 0.9567 0.4966
20 Cu 0.9842 0.0433 0.0034
21 Na 0.3698 0.4601 0.7240
22 Na 0.0758 0.4056 0.2054
23 Na 0.9098 0.5400 0.7760
24 Na 0.6702 0.5943 0.2946
25 Li 0.9921 0.7113 0.0049
26 Li 0.2808 0.2888 0.4951

Values from the calculation:
For the total moment, the calculation gives 0.00 μB/f.u. The total energy comes out at -159.97 eV for the cell shown. As for the energy of formation from the pure elements: -2.360 eV/atom.

The following is a GGA-PBE calculation of La2HfSe5 after structural relaxation, from the Materials Project.

Cell: 7.8429 8.4570 12.3158 Å, 90.00 90.00 90.00°
Fractional positions:
1 Hf 0.4243 0.7500 0.0069
2 Hf 0.9243 0.2500 0.4931
3 Hf 0.0757 0.7500 0.5069
4 Hf 0.5757 0.2500 0.9931
5 La 0.0305 0.5020 0.8226
6 La 0.4695 0.9980 0.3226
7 La 0.4695 0.5020 0.3226
8 La 0.5305 0.4980 0.6774
9 La 0.9695 0.0020 0.1774
10 La 0.9695 0.4980 0.1774
11 La 0.0305 0.9980 0.8226
12 La 0.5305 0.0020 0.6774
13 Se 0.1624 0.0361 0.5841
14 Se 0.8193 0.2500 0.7046
15 Se 0.1584 0.2500 0.3200
16 Se 0.8376 0.5361 0.4159
17 Se 0.4412 0.7500 0.5066
18 Se 0.8416 0.7500 0.6800
19 Se 0.3193 0.7500 0.7954
20 Se 0.3376 0.0361 0.0841
21 Se 0.1807 0.7500 0.2954
22 Se 0.1624 0.4639 0.5841
23 Se 0.0588 0.7500 0.0066
24 Se 0.8376 0.9639 0.4159
25 Se 0.5588 0.2500 0.4934
26 Se 0.6584 0.7500 0.1800
27 Se 0.3416 0.2500 0.8200
28 Se 0.6807 0.2500 0.2046
29 Se 0.9412 0.2500 0.9934
30 Se 0.6624 0.9639 0.9159
31 Se 0.6624 0.5361 0.9159
32 Se 0.3376 0.4639 0.0841

Values from the calculation:
The total energy comes out at -206.02 eV for the cell shown. As for the energy of formation from the pure elements: -2.069 eV/atom.

The following is a GGA-PBE calculation of Ba2Tb2MgTi2Cu2O11 after structural relaxation, from the Materials Project.

Cell: 3.9585 3.9585 17.4993 Å, 90.00 90.00 90.00°
Fractional positions:
1 O 0.5000 0.0000 0.6026
2 O 0.0000 0.0000 0.2609
3 O 0.5000 0.0000 0.0970
4 O 0.0000 0.5000 0.9269
5 O 0.0000 0.5000 0.0970
6 O 0.5000 0.0000 0.9269
7 O 0.0000 0.0000 0.7168
8 O 0.0000 0.0000 0.4886
9 O 0.0000 0.5000 0.3822
10 O 0.0000 0.5000 0.6026
11 O 0.5000 0.0000 0.3822
12 Cu 0.0000 0.0000 0.0948
13 Cu 0.0000 0.0000 0.9333
14 Ti 0.0000 0.0000 0.6075
15 Ti 0.0000 0.0000 0.3648
16 Ba 0.5000 0.5000 0.8232
17 Ba 0.5000 0.5000 0.2167
18 Mg 0.5000 0.5000 0.6398
19 Tb 0.5000 0.5000 0.0183
20 Tb 0.5000 0.5000 0.4554

Values from the calculation:
For the total moment, the calculation gives 0.00 μB/f.u. The total energy comes out at -141.83 eV for the cell shown. As for the energy of formation from the pure elements: -2.813 eV/atom.